Here is Ca after structural relaxation from the Materials Project. Energies are from GGA-PBE.

Computed properties:
theoretical density = 1.58 g/cm³
energy of formation from the pure elements = 0.024 eV/atom
ΔE to the lowest computed polymorph = 24 meV per atom

Cell lengths 3.798, 3.798, 3.798 Å; angles 109.47, 109.47, 109.47 degrees
Fractional positions:
Ca: 0.000 0.000 0.000